{
  "formula": "Pm2HgGe",
  "functional": "PBE-GGA",
  "state": "relaxed",
  "lattice_angstrom": [[0.0000, 3.7331, 3.7331], [3.7331, 0.0000, 3.7331], [3.7331, 3.7331, 0.0000]],
  "species": ["Pm", "Pm", "Hg", "Ge"],
  "frac_coords": [[0.2500, 0.2500, 0.2500], [0.7500, 0.7500, 0.7500], [0.0000, 0.0000, 0.0000], [0.5000, 0.5000, 0.5000]],
  "energy_ev_per_atom": -4.1796,
  "spacegroup": "Fm-3m (225)"
}

{
  "formula": "KBiP2Se6",
  "functional": "PBE-GGA",
  "state": "relaxed",
  "lattice_angstrom": [[-0.9714, -2.1636, 7.3723], [12.1501, -3.4607, 0.5854], [7.4281, 9.7002, 3.8255]],
  "species": ["K", "K", "K", "K", "Bi", "Bi", "Bi", "Bi", "P", "P", "P", "P", "P", "P", "P", "P", "Se", "Se", "Se", "Se", "Se", "Se", "Se", "Se", "Se", "Se", "Se", "Se", "Se", "Se", "Se", "Se", "Se", "Se", "Se", "Se", "Se", "Se", "Se", "Se"],
  "frac_coords": [[0.5829, 0.5920, 0.1373], [0.4171, 0.4080, 0.8627], [0.9171, 0.5920, 0.6373], [0.0829, 0.4080, 0.3627], [0.6547, 0.1185, 0.6686], [0.1547, 0.8815, 0.8314], [0.3453, 0.8815, 0.3314], [0.8453, 0.1185, 0.1686], [0.0943, 0.7623, 0.1845], [0.6265, 0.7645, 0.8025], [0.8735, 0.7645, 0.3025], [0.1265, 0.2355, 0.6975], [0.4057, 0.7623, 0.6845], [0.5943, 0.2377, 0.3155], [0.3735, 0.2355, 0.1975], [0.9057, 0.2377, 0.8155], [0.5041, 0.8367, 0.9214], [0.2318, 0.4053, 0.6187], [0.7014, 0.3354, 0.6973], [0.3152, 0.1126, 0.8095], [0.4959, 0.1633, 0.0786], [0.1848, 0.1126, 0.3095], [0.2014, 0.6646, 0.8027], [0.7986, 0.3354, 0.1973], [0.7318, 0.5947, 0.8813], [0.4956, 0.6943, 0.5604], [0.2682, 0.4053, 0.1187], [0.8115, 0.0580, 0.8845], [0.8152, 0.8874, 0.6905], [0.5044, 0.3057, 0.4396], [0.2986, 0.6646, 0.3027], [0.3115, 0.9420, 0.6155], [0.1885, 0.9420, 0.1155], [0.6848, 0.8874, 0.1905], [0.9959, 0.8367, 0.4214], [0.0041, 0.1633, 0.5786], [0.9956, 0.3057, 0.9396], [0.6885, 0.0580, 0.3845], [0.0044, 0.6943, 0.0604], [0.7682, 0.5947, 0.3813]],
  "energy_ev_per_atom": -4.0789,
  "magmom_total_mub_per_fu": 0.0,
  "polymorph_energy_mev_per_atom": 0.0,
  "spacegroup": "P2_1/c (14)",
  "corrected_energy_ev_per_cell": -174.48
}

{
  "formula": "CaMg6W",
  "functional": "PBE-GGA",
  "state": "relaxed",
  "lattice_angstrom": [[-1.5379, 4.8102, -0.4919], [-1.1120, 0.2824, 6.2381], [10.3706, 3.4887, 1.6907]],
  "species": ["Ca", "Ca", "Mg", "Mg", "Mg", "Mg", "Mg", "Mg", "Mg", "Mg", "Mg", "Mg", "Mg", "Mg", "W", "W"],
  "frac_coords": [[0.0000, 0.5000, 0.3263], [0.0000, 0.0000, 0.8263], [0.0000, 0.2677, 0.0869], [0.0000, 0.7323, 0.0869], [0.0000, 0.0000, 0.3337], [0.5000, 0.7554, 0.4196], [0.5000, 0.2446, 0.4196], [0.5000, 0.0000, 0.1650], [0.0000, 0.7677, 0.5869], [0.0000, 0.2323, 0.5869], [0.0000, 0.5000, 0.8337], [0.5000, 0.2554, 0.9196], [0.5000, 0.7446, 0.9196], [0.5000, 0.5000, 0.6650], [0.5000, 0.5000, 0.1620], [0.5000, 0.0000, 0.6620]],
  "energy_ev_per_atom": -2.7188,
  "magmom_total_mub_per_fu": 0.4,
  "polymorph_energy_mev_per_atom": 97.9
}

{
  "formula": "Fe3W5N8",
  "functional": "PBE-GGA",
  "state": "relaxed",
  "lattice_angstrom": [[-1.4378, -2.4911, 0.0000], [-2.8755, 0.0000, 0.0000], [0.0000, 0.0000, -22.5373]],
  "species": ["Fe", "Fe", "Fe", "W", "W", "W", "W", "W", "N", "N", "N", "N", "N", "N", "N", "N"],
  "frac_coords": [[0.0000, 0.0000, 0.8750], [0.0000, 0.0000, 0.1217], [0.0000, 0.0000, 0.6283], [0.9999, 0.0001, 0.2457], [0.0000, 0.0000, 0.7511], [0.0000, 0.0000, 0.9989], [0.9999, 0.0001, 0.5043], [0.0001, 0.0000, 0.3750], [0.3336, 0.3332, 0.3146], [0.3334, 0.3333, 0.8111], [0.6665, 0.6668, 0.1866], [0.6665, 0.6667, 0.6911], [0.6665, 0.6667, 0.0589], [0.6665, 0.6668, 0.5634], [0.3336, 0.3332, 0.4354], [0.3334, 0.3333, 0.9389]],
  "energy_ev_per_atom": -9.8974,
  "magmom_total_mub_per_fu": 10.0,
  "spacegroup": "P-6m2 (187)",
  "corrected_energy_ev_per_cell": -161.25
}

{
  "formula": "SnPH5NO4F",
  "functional": "PBE-GGA",
  "state": "relaxed",
  "lattice_angstrom": [[-2.1608, -0.5997, -4.9090], [-2.3788, -6.0669, 1.7882], [-13.0797, 6.5883, 4.9523]],
  "species": ["Sn", "Sn", "Sn", "Sn", "P", "P", "P", "P", "H", "H", "H", "H", "H", "H", "H", "H", "H", "H", "H", "H", "H", "H", "H", "H", "H", "H", "H", "H", "N", "N", "N", "N", "O", "O", "O", "O", "O", "O", "O", "O", "O", "O", "O", "O", "O", "O", "O", "O", "F", "F", "F", "F"],
  "frac_coords": [[0.2500, 0.6581, 0.3034], [0.2500, 0.1581, 0.1966], [0.7500, 0.3419, 0.6966], [0.7500, 0.8419, 0.8034], [0.7500, 0.3830, 0.3366], [0.7500, 0.8830, 0.1634], [0.2500, 0.6170, 0.6634], [0.2500, 0.1170, 0.8366], [0.7500, 0.0545, 0.3293], [0.7500, 0.5545, 0.1707], [0.2500, 0.9455, 0.6707], [0.2500, 0.4455, 0.8293], [0.2500, 0.0743, 0.4626], [0.2500, 0.5743, 0.0374], [0.7500, 0.9257, 0.5374], [0.7500, 0.4257, 0.9626], [0.2500, 0.3232, 0.4517], [0.2500, 0.8232, 0.0483], [0.7500, 0.6768, 0.5483], [0.7500, 0.1768, 0.9517], [0.0931, 0.2195, 0.5337], [0.4069, 0.7195, 0.9663], [0.5931, 0.7805, 0.4663], [0.9069, 0.2805, 0.0337], [0.9069, 0.7805, 0.4663], [0.5931, 0.2805, 0.0337], [0.4069, 0.2195, 0.5337], [0.0931, 0.7195, 0.9663], [0.2500, 0.2085, 0.4958], [0.2500, 0.7085, 0.0042], [0.7500, 0.7915, 0.5042], [0.7500, 0.2915, 0.9958], [0.7500, 0.1635, 0.3748], [0.7500, 0.6635, 0.1252], [0.2500, 0.8365, 0.6252], [0.2500, 0.3365, 0.8748], [0.9833, 0.4855, 0.3752], [0.5167, 0.9855, 0.1248], [0.4833, 0.5145, 0.6248], [0.0167, 0.0145, 0.8752], [0.0167, 0.5145, 0.6248], [0.4833, 0.0145, 0.8752], [0.5167, 0.4855, 0.3752], [0.9833, 0.9855, 0.1248], [0.7500, 0.3755, 0.2376], [0.7500, 0.8755, 0.2624], [0.2500, 0.6245, 0.7624], [0.2500, 0.1245, 0.7376], [0.2500, 0.8402, 0.4141], [0.2500, 0.3402, 0.0859], [0.7500, 0.1598, 0.5859], [0.7500, 0.6598, 0.9141]],
  "energy_ev_per_atom": -5.7101,
  "magmom_total_mub_per_fu": 0.0,
  "spacegroup": "Pnma (62)",
  "corrected_energy_ev_per_cell": -309.77
}

{
  "formula": "Mg",
  "functional": "PBE-GGA",
  "state": "relaxed",
  "lattice_angstrom": [[1.5234, -0.6947, 2.6086], [-2.8256, 1.0617, 0.7051], [-0.2595, -2.5429, -1.7535]],
  "species": ["Mg"],
  "frac_coords": [[0.0000, 0.0000, 0.0000]],
  "energy_ev_per_atom": -1.5745,
  "polymorph_energy_mev_per_atom": 25.8,
  "spacegroup": "Im-3m (229)"
}

Please write out number 4 again, unchanged.
{
  "formula": "Fe3W5N8",
  "functional": "PBE-GGA",
  "state": "relaxed",
  "lattice_angstrom": [[-1.4378, -2.4911, 0.0000], [-2.8755, 0.0000, 0.0000], [0.0000, 0.0000, -22.5373]],
  "species": ["Fe", "Fe", "Fe", "W", "W", "W", "W", "W", "N", "N", "N", "N", "N", "N", "N", "N"],
  "frac_coords": [[0.0000, 0.0000, 0.8750], [0.0000, 0.0000, 0.1217], [0.0000, 0.0000, 0.6283], [0.9999, 0.0001, 0.2457], [0.0000, 0.0000, 0.7511], [0.0000, 0.0000, 0.9989], [0.9999, 0.0001, 0.5043], [0.0001, 0.0000, 0.3750], [0.3336, 0.3332, 0.3146], [0.3334, 0.3333, 0.8111], [0.6665, 0.6668, 0.1866], [0.6665, 0.6667, 0.6911], [0.6665, 0.6667, 0.0589], [0.6665, 0.6668, 0.5634], [0.3336, 0.3332, 0.4354], [0.3334, 0.3333, 0.9389]],
  "energy_ev_per_atom": -9.8974,
  "magmom_total_mub_per_fu": 10.0,
  "spacegroup": "P-6m2 (187)",
  "corrected_energy_ev_per_cell": -161.25
}